Entry 1:
## SiB3 (GGA-PBE)

Data for a geometry-optimized SiB3 structure.

abc: 8.175 8.175 8.175
angles: 135.26 118.33 79.35
Sites, in units of the cell vectors:
Si 0.846 0.843 0.998
B 0.502 0.110 0.387
B 0.426 0.702 0.277
B 0.823 0.654 0.480
B 0.998 0.385 0.608
Si 0.481 0.814 0.795
B 0.498 0.890 0.613
B 0.777 0.385 0.387
B 0.277 0.890 0.392
B 0.827 0.346 0.170
Si 0.981 0.186 0.667
B 0.173 0.654 0.830
B 0.574 0.298 0.723
B 0.223 0.615 0.613
Si 0.154 0.157 0.002
B 0.926 0.649 0.723
B 0.431 0.159 0.728
B 0.069 0.797 0.728
B 0.177 0.346 0.520
Si 0.654 0.652 0.998
B 0.673 0.843 0.520
B 0.723 0.110 0.608
B 0.677 0.157 0.830
Si 0.519 0.186 0.205
B 0.323 0.843 0.170
B 0.327 0.157 0.480
B 0.931 0.203 0.272
Si 0.346 0.348 0.002
Si 0.019 0.814 0.333
B 0.074 0.351 0.277
B 0.002 0.615 0.392
B 0.569 0.841 0.272

Summary:
The calculation puts the total energy at -6.4061 eV per atom. The calculation puts the formation energy at -0.16 eV/f.u.


Entry 2:
## SiB (GGA-PBE)

Data for a geometry-optimized SiB structure.

abc: 3.175 3.175 5.861
angles: 90.00 90.00 120.00
Sites, in units of the cell vectors:
Si 0.333 0.667 0.357
B 0.333 0.667 0.018
B 0.667 0.333 0.518
Si 0.667 0.333 0.857

Summary:
The calculation puts the total energy at -5.6674 eV per atom. The size of the total moment comes out at 0.0 μB/cell. The calculation puts the formation energy at 0.77 eV/f.u.


Entry 3:
## Tb5Si3B (GGA-PBE)

Data for a geometry-optimized Tb5Si3B structure.

abc: 8.596 8.596 6.377
angles: 90.00 90.00 120.00
Sites, in units of the cell vectors:
Tb 0.241 0.241 0.250
Tb 0.000 0.759 0.250
Tb 0.667 0.333 0.500
Tb 0.333 0.667 0.500
Tb 0.333 0.667 0.000
B 0.000 0.000 0.500
Si 0.000 0.600 0.750
Tb 0.000 0.241 0.750
Si 0.400 0.000 0.250
Tb 0.759 0.000 0.250
Si 0.600 0.000 0.750
Si 0.600 0.600 0.250
Si 0.400 0.400 0.750
Tb 0.759 0.759 0.750
B 0.000 0.000 0.000
Tb 0.667 0.333 0.000
Tb 0.241 0.000 0.750
Si 0.000 0.400 0.250

Summary:
The calculation puts the total energy at -5.6403 eV per atom. The size of the total moment comes out at 0.0 μB/cell. The calculation puts the formation energy at -4.64 eV/f.u.


Entry 4:
## V5SiB2 (GGA-PBE)

Data for a geometry-optimized V5SiB2 structure.

abc: 6.760 6.760 6.760
angles: 129.39 129.39 74.39
Sites, in units of the cell vectors:
Si 0.250 0.250 0.000
B 0.615 0.115 0.730
V 0.000 0.000 0.000
B 0.385 0.885 0.270
B 0.115 0.385 0.500
V 0.033 0.533 0.840
V 0.467 0.307 0.500
V 0.307 0.807 0.840
V 0.533 0.693 0.500
Si 0.750 0.750 0.000
B 0.885 0.615 0.500
V 0.967 0.467 0.160
V 0.193 0.033 0.500
V 0.693 0.193 0.160
V 0.500 0.500 0.000
V 0.807 0.967 0.500

Summary:
The calculation puts the total energy at -8.7177 eV per atom. The calculation puts the formation energy at -5.54 eV/f.u.


Entry 5:
## V10Si6B (GGA-PBE)

Data for a geometry-optimized V10Si6B structure.

abc: 7.148 7.148 4.856
angles: 90.00 90.00 120.00
Sites, in units of the cell vectors:
V 0.245 0.000 0.753
V 0.333 0.667 0.000
V 0.333 0.667 0.500
Si 0.397 0.397 0.753
V 0.755 0.000 0.247
V 0.000 0.755 0.247
Si 0.000 0.603 0.753
V 0.667 0.333 0.500
V 0.755 0.755 0.753
Si 0.603 0.000 0.753
Si 0.000 0.397 0.247
Si 0.397 0.000 0.247
B 0.000 0.000 0.500
V 0.667 0.333 0.000
V 0.245 0.245 0.247
V 0.000 0.245 0.753
Si 0.603 0.603 0.247

Summary:
The calculation puts the total energy at -8.2786 eV per atom. The calculation puts the formation energy at -10.67 eV/f.u.


Entry 6:
## V5Si2B (GGA-PBE)

Data for a geometry-optimized V5Si2B structure.

abc: 6.888 6.888 6.888
angles: 127.79 127.79 76.96
Sites, in units of the cell vectors:
Si 0.133 0.367 0.500
V 0.991 0.491 0.164
V 0.827 0.991 0.500
Si 0.633 0.133 0.767
V 0.673 0.173 0.164
B 0.250 0.250 0.000
Si 0.867 0.633 0.500
B 0.750 0.750 0.000
V 0.509 0.673 0.500
V 0.327 0.827 0.836
Si 0.367 0.867 0.233
V 0.500 0.500 0.000
V 0.009 0.509 0.836
V 0.000 0.000 0.000
V 0.491 0.327 0.500
V 0.173 0.009 0.500

Summary:
The calculation puts the total energy at -8.2609 eV per atom. The size of the total moment comes out at 0.0 μB/cell. The calculation puts the formation energy at -3.14 eV/f.u.


Entry 7:
## V5Si3B (GGA-PBE)

Data for a geometry-optimized V5Si3B structure.

abc: 4.854 7.210 7.209
angles: 120.01 90.00 90.00
Sites, in units of the cell vectors:
Si 0.250 0.598 0.598
Si 0.750 0.000 0.598
Si 0.250 0.402 0.000
V 0.750 0.753 0.753
V 0.000 0.333 0.667
Si 0.750 0.598 0.000
V 0.500 0.333 0.667
B 0.500 0.000 0.000
Si 0.750 0.402 0.402
V 0.250 0.000 0.753
V 0.000 0.667 0.333
B 0.000 0.000 0.000
V 0.500 0.667 0.333
V 0.750 0.247 0.000
V 0.750 0.000 0.247
V 0.250 0.247 0.247
Si 0.250 0.000 0.402
V 0.250 0.753 0.000

Summary:
The calculation puts the total energy at -8.2376 eV per atom. The size of the total moment comes out at 0.0 μB/cell. The calculation puts the formation energy at -5.76 eV/f.u.


Entry 8:
## Si3B3W10 (GGA-PBE)

Data for a geometry-optimized Si3B3W10 structure.

abc: 7.112 7.061 6.190
angles: 64.53 63.68 51.79
Sites, in units of the cell vectors:
W 0.999 0.292 0.708
Si 0.630 0.370 0.630
Si 0.746 0.754 0.746
W 0.808 0.477 0.180
W 0.018 0.700 0.300
B 0.127 0.873 0.877
W 0.465 0.820 0.523
W 0.495 0.505 0.010
W 0.180 0.535 0.808
W 0.708 0.001 0.999
W 0.300 0.982 0.018
Si 0.246 0.254 0.246
W 0.010 0.990 0.495
W 0.523 0.192 0.465
B 0.368 0.632 0.368
B 0.877 0.123 0.127

Summary:
The calculation puts the total energy at -10.5596 eV per atom. The size of the total moment comes out at 0.0 μB/cell. The calculation puts the formation energy at -3.06 eV/f.u.


Among the records above, which one has the lowest formation energy?
V10Si6B